Density functional theory data (PBE-GGA) for crystalline Te2Au at its relaxed geometry.

## Properties
For the energy, the calculation gives -0.1197 Ha/atom. The calculation puts the formation energy at -0.0717 eV per atom.

```
3
Lattice="-2.114 -3.661 0.000 -2.114 3.661 0.000 0.000 0.000 -5.193" Properties=species:S:1:pos:R:3 pbc="T T T"
Te -2.114 -1.220 -3.688
Au 0.000 0.000 0.000
Te -2.114 1.220 -1.505
```

Density functional theory data (PBE-GGA) for crystalline Co3Mo3C at its relaxed geometry.

## Properties
For the energy, the calculation gives -0.3316 Ha/atom. The calculation puts the formation energy at -0.0110 eV per atom.

```
28
Lattice="7.683 -0.800 -1.250 3.868 -6.031 3.145 2.639 -5.771 -4.578" Properties=species:S:1:pos:R:3 pbc="T T T"
Mo 7.445 -3.026 -1.287
C 5.615 -1.975 -0.960
Co 8.412 -5.552 -1.526
Mo 6.745 -9.576 -1.395
Mo 1.745 -2.936 -1.980
Mo 4.442 -5.986 -3.268
Co 5.027 -7.476 -1.051
Mo 5.174 -6.140 1.330
Mo 9.748 -6.616 0.586
Mo 5.350 -3.365 0.639
Co 7.197 -7.219 -0.125
Mo 9.016 -6.462 -4.013
C 3.708 -4.591 1.237
Co 9.325 -10.200 -1.827
C 3.093 -4.461 -2.624
Co 5.965 -5.297 -1.128
Mo 3.310 -5.376 -0.707
Co 6.805 -7.136 -2.586
Co 8.869 -7.876 -1.676
Co 6.934 -4.861 -3.249
Mo 4.853 -3.260 -2.486
Mo 3.785 -0.925 -0.634
Co 7.549 -4.991 0.612
Mo 2.242 -3.041 1.145
Co 10.540 -8.534 -3.228
C 1.774 -1.575 -0.335
Co 10.932 -8.617 -0.767
Co 11.773 -10.455 -2.225
```

Density functional theory data (PBE-GGA) for crystalline K3S3NO11 at its relaxed geometry.

## Properties
For the energy, the calculation gives -0.1971 Ha/atom. The value obtained for the energy with MP2020 corrections is -5.7838 eV/atom. The calculation puts the formation energy at -1.4225 eV per atom.

```
72
Lattice="-4.074 -0.647 -4.141 -5.781 -7.242 6.819 -9.392 14.120 7.034" Properties=species:S:1:pos:R:3 pbc="T T T"
O -8.661 -3.912 2.945
O -11.166 9.623 3.295
S -9.851 -0.368 3.562
O -14.893 5.357 11.752
N -13.700 7.058 10.314
O -11.351 -1.770 6.977
O -4.935 -4.632 3.517
O -10.578 7.132 5.488
K -10.905 0.537 8.583
O -5.810 1.162 3.472
N -5.546 -0.826 -0.601
O -11.389 3.385 8.614
O -13.436 5.069 6.240
O -10.783 -2.918 4.877
O -8.475 4.344 3.861
K -7.932 1.864 5.450
O -6.424 5.573 3.387
K -12.608 11.064 8.613
O -11.917 6.375 8.666
O -7.895 8.001 2.736
O -14.311 10.863 6.196
S -6.693 -1.361 0.610
O -14.267 12.259 4.198
O -4.989 1.536 0.224
O -14.257 4.696 9.488
O -8.668 -0.900 4.224
O -6.760 4.616 5.604
O -12.552 12.531 5.941
O -12.486 1.615 4.109
S -7.401 5.180 4.410
O -8.857 7.405 7.237
N -11.116 -0.420 4.815
K -6.283 -2.098 4.447
K -1.983 0.887 -0.250
O -10.772 1.888 5.852
S -12.554 7.593 9.102
S -14.701 8.189 11.122
S -11.845 1.052 5.302
O -7.572 -2.308 -0.096
O -5.874 -2.039 1.630
O -7.857 2.846 1.099
S -13.852 5.334 10.733
O -6.710 1.262 -1.525
O -12.822 0.658 6.325
O -7.329 -0.144 1.046
N -8.131 6.651 4.898
O -12.536 4.969 11.237
O -6.197 8.271 4.462
K -14.538 2.730 7.690
O -13.049 -2.040 5.251
O -13.373 8.270 8.083
O -10.585 10.143 6.767
K -6.638 -4.833 1.099
S -9.395 6.600 6.150
O -8.080 -3.392 6.417
K -12.964 8.330 5.266
O -9.473 5.176 6.449
O -6.694 -6.300 3.772
O -4.980 -6.027 5.515
O -4.354 0.874 -2.040
K -17.263 5.345 9.962
K -4.708 3.501 2.023
O -11.675 8.539 9.809
S -11.608 -1.938 5.536
K -11.315 4.368 4.262
S -4.545 -1.957 -1.410
S -5.394 0.897 -1.020
S -7.638 8.169 4.176
K -8.341 5.694 1.130
O -10.389 -1.174 2.475
O -9.773 1.055 3.263
O -8.464 9.150 4.835
```

Density functional theory data (PBE-GGA) for crystalline SnPb4Se5 at its relaxed geometry.

## Properties
For the energy, the calculation gives -0.1531 Ha/atom. The value obtained for the energy with MP2020 corrections is -4.4026 eV/atom. The calculation puts the formation energy at -0.7686 eV per atom.

```
10
Lattice="17.679 -2.196 0.000 17.679 2.196 0.000 17.407 0.000 3.794" Properties=species:S:1:pos:R:3 pbc="T T T"
Pb 10.554 0.000 0.759
Se 47.498 0.000 3.416
Pb 21.094 0.000 1.517
Se 26.383 0.000 1.897
Se 15.897 0.000 1.143
Sn 0.000 0.000 0.000
Se 5.267 0.000 0.379
Pb 42.212 0.000 3.035
Se 36.868 0.000 2.651
Pb 31.672 0.000 2.278
```

Density functional theory data (PBE-GGA) for crystalline NdIn4Ni at its relaxed geometry.

## Properties
For the energy, the calculation gives -0.1451 Ha/atom. The calculation puts the formation energy at -0.3555 eV per atom.

```
12
Lattice="2.255 -8.390 0.000 2.255 8.390 0.000 0.000 0.000 7.255" Properties=species:S:1:pos:R:3 pbc="T T T"
In 2.255 3.158 3.281
In 2.255 -3.158 3.974
Nd 2.255 -6.398 5.441
In 2.255 -7.139 1.814
Ni 2.255 -4.589 1.814
In 2.255 7.139 5.441
In 2.255 -3.158 6.909
In 2.255 0.000 3.628
In 2.255 0.000 0.000
Ni 2.255 4.589 5.441
In 2.255 3.158 0.346
Nd 2.255 6.398 1.814
```

Density functional theory data (PBE-GGA) for crystalline Mg6SiSb at its relaxed geometry.

## Properties
For the energy, the calculation gives -0.0882 Ha/atom. The value obtained for the energy above the lowest structure with this stoichiometry is 0.000 eV/atom. The value obtained for the energy with MP2020 corrections is -2.4231 eV/atom. The calculation puts the formation energy at -0.0286 eV per atom.

```
16
Lattice="5.147 0.000 0.000 0.000 5.972 0.000 0.000 0.000 11.536" Properties=species:S:1:pos:R:3 pbc="T T T"
Mg 0.000 4.493 0.976
Mg 0.000 0.000 3.786
Mg 0.000 1.507 6.743
Mg 0.000 2.986 9.553
Mg 2.574 1.539 4.669
Mg 2.574 1.447 10.437
Mg 2.574 4.525 10.437
Si 0.000 2.986 4.361
Mg 2.574 2.986 7.749
Sb 2.574 0.000 7.422
Mg 0.000 4.464 6.743
Mg 0.000 1.479 0.976
Sb 2.574 2.986 1.654
Mg 2.574 4.433 4.669
Mg 2.574 0.000 1.982
Si 0.000 0.000 10.129
```

Density functional theory data (PBE-GGA) for crystalline SrH4IrO2F6 at its relaxed geometry.

## Properties
For the energy, the calculation gives -0.1860 Ha/atom. The value obtained for the energy above the lowest structure with this stoichiometry is 0.000 eV/atom. The value obtained for the energy with MP2020 corrections is -5.3578 eV/atom. The calculation puts the formation energy at -2.1091 eV per atom.

```
56
Lattice="6.233 0.000 0.000 0.000 10.179 0.000 -4.480 0.000 11.221" Properties=species:S:1:pos:R:3 pbc="T T T"
O 1.083 7.110 5.514
Ir 4.177 5.448 2.967
H 0.043 6.372 10.352
F 2.973 4.165 3.818
O 0.670 3.068 5.707
F 3.149 8.550 7.701
H -2.070 1.559 10.607
F 1.020 9.254 1.793
O 2.910 2.021 0.097
F -0.028 9.505 4.314
F -0.853 3.648 8.794
F -3.636 3.460 9.130
H 3.823 8.620 0.614
Sr 2.924 1.903 5.057
F 1.782 0.673 6.907
H 3.383 9.262 3.680
Sr -1.170 8.276 6.164
Ir 1.937 9.819 8.578
Ir -0.184 0.359 2.643
O -1.368 0.788 6.598
Ir -2.424 4.730 8.254
F -2.268 5.763 9.925
O -1.157 8.158 11.124
Sr 1.069 6.992 0.553
H -1.630 0.917 7.541
H 3.020 1.363 0.814
F -2.690 0.676 9.115
H 1.710 3.807 0.869
F 2.606 6.530 2.427
F -1.396 1.629 3.520
F 2.203 5.765 7.717
O 3.121 9.390 4.624
O 0.872 4.301 0.987
Sr 0.684 3.187 10.668
F 5.389 6.718 2.091
F -1.220 6.014 7.403
H 0.973 6.452 4.796
O 0.881 5.878 10.234
H 0.610 4.173 1.931
F 4.021 4.416 1.296
F 2.064 8.753 10.216
F 4.443 9.503 2.106
F -2.551 3.664 6.616
F -0.450 4.413 3.504
H 2.283 8.896 4.742
F -0.311 1.425 1.005
F 1.387 1.441 3.183
H 0.780 3.726 6.425
H -0.530 1.283 6.479
F 0.733 0.924 9.428
F 4.304 6.515 4.605
H 1.583 6.648 6.224
H 0.170 3.531 4.997
H 1.143 6.006 9.290
H -1.267 8.815 10.407
F 0.366 8.738 8.038
```

Density functional theory data (PBE-GGA) for crystalline Na2ZrSi6O19 at its relaxed geometry.

## Properties
For the energy, the calculation gives -0.2522 Ha/atom. The value obtained for the energy with MP2020 corrections is -7.3298 eV/atom. The calculation puts the formation energy at -2.4100 eV per atom.

```
28
Lattice="-1.944 -7.318 0.072 2.896 -0.937 6.933 -6.562 1.335 3.387" Properties=species:S:1:pos:R:3 pbc="T T T"
Si -2.532 -5.287 2.963
O -3.135 -1.347 3.481
O -0.123 -6.718 6.106
Na -0.945 -3.624 0.108
Zr 2.888 -0.947 6.922
O -3.251 -0.345 8.341
Si -1.182 -5.524 5.890
O -5.624 -0.381 4.093
O -0.042 -1.824 4.642
O -0.458 -0.365 8.523
O -2.285 -6.547 1.972
O -2.465 -5.559 6.926
O -1.644 -1.929 6.842
O -5.150 -2.947 4.309
Si -4.477 -1.460 4.434
O -5.325 -5.229 5.759
Na -7.011 -6.389 6.958
O -1.693 -5.598 4.336
O -4.032 -1.228 5.997
Si -0.301 -2.474 6.115
O -1.993 -3.942 2.212
O 1.060 -2.065 6.900
O -0.377 -4.108 6.097
Si -5.311 -4.577 4.263
O -6.746 -4.883 3.571
O -3.827 -2.799 8.218
O -4.112 -5.183 3.343
Si -3.158 -1.609 7.327
```

- Among the records above, which one has the highest energy?
  Mg6SiSb

Copy entry 5 word for word.
Density functional theory data (PBE-GGA) for crystalline NdIn4Ni at its relaxed geometry.

## Properties
For the energy, the calculation gives -0.1451 Ha/atom. The calculation puts the formation energy at -0.3555 eV per atom.

```
12
Lattice="2.255 -8.390 0.000 2.255 8.390 0.000 0.000 0.000 7.255" Properties=species:S:1:pos:R:3 pbc="T T T"
In 2.255 3.158 3.281
In 2.255 -3.158 3.974
Nd 2.255 -6.398 5.441
In 2.255 -7.139 1.814
Ni 2.255 -4.589 1.814
In 2.255 7.139 5.441
In 2.255 -3.158 6.909
In 2.255 0.000 3.628
In 2.255 0.000 0.000
Ni 2.255 4.589 5.441
In 2.255 3.158 0.346
Nd 2.255 6.398 1.814
```

Repeat the fourth record exactly.
Density functional theory data (PBE-GGA) for crystalline SnPb4Se5 at its relaxed geometry.

## Properties
For the energy, the calculation gives -0.1531 Ha/atom. The value obtained for the energy with MP2020 corrections is -4.4026 eV/atom. The calculation puts the formation energy at -0.7686 eV per atom.

```
10
Lattice="17.679 -2.196 0.000 17.679 2.196 0.000 17.407 0.000 3.794" Properties=species:S:1:pos:R:3 pbc="T T T"
Pb 10.554 0.000 0.759
Se 47.498 0.000 3.416
Pb 21.094 0.000 1.517
Se 26.383 0.000 1.897
Se 15.897 0.000 1.143
Sn 0.000 0.000 0.000
Se 5.267 0.000 0.379
Pb 42.212 0.000 3.035
Se 36.868 0.000 2.651
Pb 31.672 0.000 2.278
```